{"formula": "NpSiO3", "functional": "PBE", "state": "relaxed", "lattice_angstrom": [[-3.640, -0.223, 1.005], [0.339, -3.746, 0.399], [0.972, 0.474, 3.625]], "species": ["Np", "Si", "O", "O", "O"], "fractional_positions": [[0.000, 0.000, 0.000], [0.500, 0.500, 0.500], [0.500, 0.500, 0.000], [0.500, 0.000, 0.500], [0.000, 0.500, 0.500]], "delta_e_f_ev_per_atom": -2.53, "magmom_total_mub_per_fu": 4.6, "vol_a3_per_cell": 54, "crystal_system": "cubic"}


{"formula": "NpSnO3", "functional": "PBE", "state": "relaxed", "lattice_angstrom": [[4.159, 0.000, 0.000], [0.000, 4.159, 0.000], [0.000, 0.000, 4.159]], "species": ["Np", "Sn", "O", "O", "O"], "fractional_positions": [[0.000, 0.000, 0.000], [0.500, 0.500, 0.500], [0.500, 0.500, 0.000], [0.500, 0.000, 0.500], [0.000, 0.500, 0.500]], "delta_e_f_ev_per_atom": -1.99, "magmom_total_mub_per_fu": 4.6, "vol_a3_per_cell": 72, "crystal_system": "cubic"}


{"formula": "NpTiO3", "functional": "PBE", "state": "relaxed", "lattice_angstrom": [[3.918, 0.000, 0.000], [0.000, 3.918, 0.000], [0.000, 0.000, 3.918]], "species": ["Np", "Ti", "O", "O", "O"], "fractional_positions": [[0.000, 0.000, 0.000], [0.500, 0.500, 0.500], [0.500, 0.500, 0.000], [0.500, 0.000, 0.500], [0.000, 0.500, 0.500]], "delta_e_f_ev_per_atom": -3.14, "magmom_total_mub_per_fu": 4.3, "vol_a3_per_cell": 60, "crystal_system": "cubic"}


{"formula": "NpSi2Os2", "functional": "PBE", "state": "relaxed", "lattice_angstrom": [[4.167, 0.000, 0.000], [0.000, 4.167, 0.000], [-2.083, -2.083, 4.836]], "species": ["Np", "Si", "Si", "Os", "Os"], "fractional_positions": [[0.000, 0.000, 0.000], [0.626, 0.626, 0.251], [0.374, 0.374, 0.749], [0.750, 0.250, 0.500], [0.250, 0.750, 0.500]], "delta_e_f_ev_per_atom": -0.45, "vol_a3_per_cell": 84, "crystal_system": "tetragonal"}


{"formula": "PmNp", "functional": "PBE", "state": "relaxed", "lattice_angstrom": [[0.879, 2.928, -1.414], [-2.932, -0.267, 1.635], [2.666, 1.637, 5.047]], "species": ["Pm", "Np"], "fractional_positions": [[0.667, 0.333, 0.000], [0.000, 0.000, 0.500]], "delta_e_f_ev_per_atom": 0.60, "magmom_total_mub_per_fu": 4.4, "vol_a3_per_cell": 58, "crystal_system": "hexagonal"}


{"formula": "Pm3Np", "functional": "PBE", "state": "relaxed", "lattice_angstrom": [[0.750, 6.549, -2.813], [-2.733, -0.783, 6.579], [5.276, 0.356, 2.234]], "species": ["Pm", "Pm", "Pm", "Pm", "Pm", "Pm", "Np", "Np"], "fractional_positions": [[0.831, 0.169, 0.750], [0.338, 0.169, 0.750], [0.831, 0.662, 0.750], [0.169, 0.831, 0.250], [0.662, 0.831, 0.250], [0.169, 0.338, 0.250], [0.667, 0.333, 0.250], [0.333, 0.667, 0.750]], "delta_e_f_ev_per_atom": 0.39, "magmom_total_mub_per_fu": 0.4, "vol_a3_per_cell": 255, "crystal_system": "hexagonal"}


{"formula": "NpSi2Pt2", "functional": "PBE", "state": "relaxed", "lattice_angstrom": [[-1.674, 1.372, 3.618], [-3.135, -2.790, -0.393], [5.323, -6.684, 4.998]], "species": ["Np", "Np", "Si", "Si", "Si", "Si", "Pt", "Pt", "Pt", "Pt"], "fractional_positions": [[0.500, 0.000, 0.746], [0.000, 0.500, 0.254], [0.500, 0.000, 0.135], [0.000, 0.500, 0.865], [0.500, 0.500, 0.500], [0.000, 0.000, 0.500], [0.500, 0.000, 0.378], [0.000, 0.500, 0.622], [0.500, 0.500, 0.000], [0.000, 0.000, 0.000]], "delta_e_f_ev_per_atom": -0.76, "vol_a3_per_cell": 176, "crystal_system": "tetragonal"}


{"formula": "NpRe2", "functional": "PBE", "state": "relaxed", "lattice_angstrom": [[-2.553, -4.495, 0.000], [-2.553, 4.495, 0.000], [0.000, 0.000, -9.401]], "species": ["Np", "Np", "Np", "Np", "Re", "Re", "Re", "Re", "Re", "Re", "Re", "Re"], "fractional_positions": [[0.669, 0.331, 0.553], [0.331, 0.669, 0.447], [0.331, 0.669, 0.053], [0.669, 0.331, 0.947], [0.000, 0.000, 0.500], [0.000, 0.000, 0.000], [0.170, 0.337, 0.750], [0.169, 0.831, 0.750], [0.663, 0.830, 0.750], [0.830, 0.663, 0.250], [0.831, 0.169, 0.250], [0.337, 0.170, 0.250]], "delta_e_f_ev_per_atom": 0.28, "magmom_total_mub_per_fu": 0.1, "vol_a3_per_cell": 216, "crystal_system": "orthorhombic"}